Here is a relaxed Hg2ClO crystal from Materials Project. Energies are from PBE-GGA.

abc: 12.5200 7.4063 9.7459
angles: 90.00 107.03 90.00
Space group C2/c (No. 15)
One atom of each set of equivalent atoms:
1 Hg 0.0000 0.1966 0.2500 x4
2 Hg 0.0456 0.2605 0.8897 x8
3 Hg 0.2500 0.2500 0.5000 x4
4 Cl 0.1795 0.3301 0.1261 x8
5 O 0.0859 0.1866 0.4646 x8

- Distance to the lowest polymorph of the same formula: 0.05 eV per formula unit
- Uncorrected energy: -71.82 eV for the cell shown
- Calculated formation energy: -565 meV/atom